Record 1
! Na2HfZn3S6O24 (PBE-GGA, optimized geometry); values from VASP
! Total DFT energy (no corrections) in eV per atom: -6.10
! Energy of formation in eV/atom: -2.11
&SYSTEM
  ibrav = 0, nat = 108, ntyp = 5
/
ATOMIC_SPECIES
Na 22.99 Na.upf
Hf 178.49 Hf.upf
Zn 65.41 Zn.upf
S 32.06 S.upf
O 16.00 O.upf
ATOMIC_POSITIONS crystal
Na 0.000 0.000 0.000
Na 0.000 0.000 0.478
Na 0.333 0.667 0.158
Na 0.333 0.667 0.645
Na 0.667 0.333 0.330
Na 0.667 0.333 0.828
Hf 0.000 0.000 0.840
Hf 0.667 0.333 0.172
Hf 0.667 0.333 0.669
Zn 0.000 0.000 0.141
Zn 0.000 0.000 0.338
Zn 0.000 0.000 0.632
Zn 0.333 0.667 0.006
Zn 0.333 0.667 0.309
Zn 0.333 0.667 0.493
Zn 0.333 0.667 0.807
Zn 0.667 0.333 0.466
Zn 0.667 0.333 0.974
S 0.005 0.297 0.735
S 0.007 0.710 0.236
S 0.036 0.367 0.403
S 0.037 0.660 0.903
S 0.290 0.297 0.236
S 0.292 0.995 0.735
S 0.332 0.964 0.403
S 0.340 0.377 0.903
S 0.368 0.036 0.068
S 0.369 0.334 0.568
S 0.623 0.963 0.903
S 0.633 0.668 0.403
S 0.666 0.035 0.568
S 0.668 0.632 0.068
S 0.703 0.708 0.735
S 0.703 0.993 0.236
S 0.964 0.332 0.068
S 0.965 0.631 0.568
O 0.018 0.189 0.399
O 0.019 0.826 0.895
O 0.023 0.212 0.683
O 0.028 0.810 0.182
O 0.116 0.639 0.849
O 0.120 0.475 0.350
O 0.138 0.447 0.458
O 0.138 0.497 0.067
O 0.139 0.642 0.568
O 0.146 0.693 0.955
O 0.159 0.475 0.743
O 0.160 0.683 0.242
O 0.171 0.982 0.399
O 0.174 0.193 0.895
O 0.189 0.977 0.683
O 0.190 0.218 0.182
O 0.191 0.019 0.075
O 0.194 0.174 0.576
O 0.206 0.021 0.788
O 0.215 0.187 0.288
O 0.307 0.453 0.955
O 0.309 0.862 0.458
O 0.316 0.841 0.743
O 0.317 0.477 0.242
O 0.355 0.880 0.350
O 0.358 0.497 0.568
O 0.360 0.862 0.067
O 0.361 0.477 0.849
O 0.448 0.139 0.014
O 0.457 0.313 0.517
O 0.471 0.163 0.733
O 0.474 0.315 0.228
O 0.481 0.350 0.623
O 0.482 0.134 0.120
O 0.493 0.350 0.908
O 0.494 0.143 0.407
O 0.503 0.640 0.067
O 0.503 0.861 0.568
O 0.523 0.840 0.242
O 0.523 0.884 0.849
O 0.525 0.645 0.350
O 0.525 0.684 0.743
O 0.547 0.854 0.955
O 0.553 0.691 0.458
O 0.649 0.506 0.407
O 0.650 0.131 0.623
O 0.650 0.144 0.908
O 0.652 0.518 0.120
O 0.685 0.159 0.228
O 0.687 0.143 0.517
O 0.691 0.552 0.014
O 0.692 0.529 0.733
O 0.782 0.972 0.182
O 0.788 0.811 0.683
O 0.807 0.981 0.895
O 0.811 0.829 0.399
O 0.813 0.027 0.288
O 0.815 0.794 0.788
O 0.826 0.020 0.576
O 0.827 0.809 0.075
O 0.837 0.308 0.733
O 0.841 0.526 0.228
O 0.856 0.507 0.908
O 0.857 0.351 0.407
O 0.857 0.543 0.517
O 0.861 0.309 0.014
O 0.866 0.348 0.120
O 0.869 0.519 0.623
O 0.973 0.785 0.288
O 0.979 0.185 0.788
O 0.980 0.806 0.576
O 0.981 0.173 0.075
CELL_PARAMETERS angstrom
8.703 0.000 0.000
-4.352 7.537 0.000
0.000 0.000 22.932


Record 2
! NaSrHfSbO6 (PBE-GGA, optimized geometry); values from VASP
! Total DFT energy (no corrections) in eV per atom: -7.18
! Energy of formation in eV/atom: -2.91
&SYSTEM
  ibrav = 0, nat = 10, ntyp = 5
/
ATOMIC_SPECIES
Na 22.99 Na.upf
Sr 87.62 Sr.upf
Hf 178.49 Hf.upf
Sb 121.76 Sb.upf
O 16.00 O.upf
ATOMIC_POSITIONS crystal
Na 0.000 0.000 0.000
Sr 0.500 0.500 0.500
Hf 0.750 0.750 0.750
Sb 0.250 0.250 0.250
O 0.004 0.004 0.496
O 0.004 0.496 0.004
O 0.004 0.496 0.496
O 0.496 0.004 0.004
O 0.496 0.004 0.496
O 0.496 0.496 0.004
CELL_PARAMETERS angstrom
0.000 4.051 4.051
4.051 0.000 4.051
4.051 4.051 0.000


Record 3
! Na3HfTaSi3O12 (PBE-GGA, optimized geometry); values from VASP
! Total DFT energy (no corrections) in eV per atom: -7.83
! Energy of formation in eV/atom: -3.17
&SYSTEM
  ibrav = 0, nat = 80, ntyp = 5
/
ATOMIC_SPECIES
Na 22.99 Na.upf
Hf 178.49 Hf.upf
Ta 180.95 Ta.upf
Si 28.09 Si.upf
O 16.00 O.upf
ATOMIC_POSITIONS crystal
Na 0.254 0.726 0.998
Na 0.754 0.774 0.498
Na 0.754 0.226 0.998
Na 0.254 0.274 0.498
Na 0.499 0.114 0.745
Na 0.499 0.886 0.245
Na 0.999 0.614 0.745
Na 0.999 0.386 0.245
Na 0.190 0.945 0.291
Na 0.190 0.055 0.791
Na 0.690 0.445 0.291
Na 0.690 0.555 0.791
Hf 0.106 0.749 0.567
Hf 0.106 0.251 0.067
Hf 0.606 0.249 0.567
Hf 0.606 0.751 0.067
Ta 0.893 0.754 0.934
Ta 0.893 0.246 0.434
Ta 0.393 0.254 0.934
Ta 0.393 0.746 0.434
Si 0.996 0.960 0.755
Si 0.996 0.040 0.255
Si 0.496 0.460 0.755
Si 0.496 0.540 0.255
Si 0.355 0.896 0.757
Si 0.645 0.891 0.744
Si 0.645 0.109 0.244
Si 0.355 0.104 0.257
Si 0.855 0.396 0.757
Si 0.145 0.391 0.744
Si 0.145 0.609 0.244
Si 0.855 0.604 0.257
O 0.152 0.568 0.742
O 0.851 0.578 0.760
O 0.851 0.422 0.260
O 0.152 0.432 0.242
O 0.652 0.068 0.742
O 0.351 0.078 0.760
O 0.351 0.922 0.260
O 0.652 0.932 0.242
O 0.433 0.574 0.581
O 0.567 0.557 0.934
O 0.567 0.443 0.434
O 0.433 0.426 0.081
O 0.933 0.074 0.581
O 0.067 0.057 0.934
O 0.067 0.943 0.434
O 0.933 0.926 0.081
O 0.256 0.835 0.749
O 0.741 0.806 0.758
O 0.741 0.194 0.258
O 0.256 0.165 0.249
O 0.756 0.335 0.749
O 0.241 0.306 0.758
O 0.241 0.694 0.258
O 0.756 0.665 0.249
O 0.355 0.858 0.577
O 0.643 0.843 0.913
O 0.643 0.157 0.413
O 0.355 0.142 0.077
O 0.855 0.358 0.577
O 0.143 0.343 0.913
O 0.143 0.657 0.413
O 0.855 0.642 0.077
O 0.461 0.839 0.936
O 0.535 0.828 0.561
O 0.535 0.172 0.061
O 0.461 0.161 0.436
O 0.961 0.339 0.936
O 0.035 0.328 0.561
O 0.035 0.672 0.061
O 0.961 0.661 0.436
O 0.074 0.852 0.741
O 0.913 0.855 0.758
O 0.913 0.145 0.258
O 0.074 0.148 0.241
O 0.574 0.352 0.741
O 0.413 0.355 0.758
O 0.413 0.645 0.258
O 0.574 0.648 0.241
CELL_PARAMETERS angstrom
-13.937 -0.255 -7.402
0.274 -9.119 -0.202
1.108 -0.166 9.027


Record 4
! Na3HfTaSi3O12 (PBE-GGA, optimized geometry); values from VASP
! Total DFT energy (no corrections) in eV per atom: -7.83
! Energy of formation in eV/atom: -3.17
&SYSTEM
  ibrav = 0, nat = 120, ntyp = 5
/
ATOMIC_SPECIES
Na 22.99 Na.upf
Hf 178.49 Hf.upf
Ta 180.95 Ta.upf
Si 28.09 Si.upf
O 16.00 O.upf
ATOMIC_POSITIONS crystal
Na 0.000 0.000 0.000
Na 0.000 0.000 0.500
Na 0.034 0.305 0.416
Na 0.301 0.662 0.415
Na 0.305 0.034 0.916
Na 0.326 0.701 0.082
Na 0.331 0.334 0.833
Na 0.334 0.331 0.333
Na 0.367 0.635 0.749
Na 0.368 0.992 0.249
Na 0.635 0.367 0.249
Na 0.656 0.684 0.667
Na 0.662 0.301 0.915
Na 0.684 0.656 0.167
Na 0.699 0.969 0.082
Na 0.701 0.326 0.582
Na 0.969 0.699 0.582
Na 0.992 0.368 0.749
Hf 0.004 0.998 0.645
Hf 0.327 0.338 0.978
Hf 0.338 0.327 0.478
Hf 0.667 0.670 0.811
Hf 0.670 0.667 0.311
Hf 0.998 0.004 0.145
Ta 0.327 0.337 0.185
Ta 0.337 0.327 0.685
Ta 0.663 0.670 0.518
Ta 0.670 0.663 0.018
Ta 0.996 0.998 0.352
Ta 0.998 0.996 0.852
Si 0.001 0.290 0.249
Si 0.039 0.622 0.082
Si 0.041 0.332 0.580
Si 0.287 0.706 0.248
Si 0.290 0.001 0.749
Si 0.332 0.041 0.080
Si 0.334 0.623 0.581
Si 0.374 0.667 0.914
Si 0.374 0.957 0.413
Si 0.622 0.039 0.582
Si 0.623 0.334 0.081
Si 0.667 0.374 0.414
Si 0.670 0.954 0.916
Si 0.706 0.287 0.748
Si 0.708 0.999 0.246
Si 0.954 0.670 0.416
Si 0.957 0.374 0.913
Si 0.999 0.708 0.746
O 0.006 0.175 0.586
O 0.017 0.810 0.087
O 0.030 0.807 0.803
O 0.033 0.167 0.308
O 0.135 0.364 0.639
O 0.137 0.499 0.139
O 0.144 0.504 0.420
O 0.149 0.339 0.919
O 0.151 0.310 0.522
O 0.163 0.535 0.026
O 0.165 0.807 0.586
O 0.167 0.033 0.808
O 0.168 0.803 0.306
O 0.175 0.006 0.086
O 0.176 0.521 0.742
O 0.179 0.296 0.242
O 0.186 0.968 0.409
O 0.189 0.844 0.908
O 0.198 0.969 0.693
O 0.203 0.823 0.190
O 0.296 0.179 0.742
O 0.304 0.537 0.522
O 0.310 0.151 0.022
O 0.311 0.515 0.242
O 0.339 0.149 0.419
O 0.361 0.497 0.920
O 0.364 0.135 0.139
O 0.364 0.498 0.639
O 0.467 0.699 0.972
O 0.474 0.828 0.469
O 0.474 0.831 0.754
O 0.477 0.683 0.253
O 0.482 0.872 0.354
O 0.491 0.636 0.856
O 0.497 0.361 0.420
O 0.498 0.364 0.139
O 0.499 0.137 0.639
O 0.504 0.144 0.920
O 0.509 0.853 0.076
O 0.512 0.630 0.575
O 0.515 0.311 0.742
O 0.521 0.176 0.242
O 0.535 0.163 0.526
O 0.537 0.304 0.022
O 0.630 0.512 0.075
O 0.633 0.866 0.860
O 0.636 0.491 0.356
O 0.642 0.850 0.575
O 0.674 0.841 0.252
O 0.683 0.477 0.753
O 0.694 0.837 0.975
O 0.699 0.467 0.472
O 0.803 0.168 0.806
O 0.807 0.030 0.303
O 0.807 0.165 0.086
O 0.810 0.017 0.587
O 0.817 0.974 0.187
O 0.823 0.203 0.690
O 0.828 0.474 0.969
O 0.831 0.474 0.254
O 0.837 0.694 0.475
O 0.839 0.976 0.908
O 0.841 0.674 0.752
O 0.844 0.189 0.408
O 0.850 0.642 0.075
O 0.853 0.509 0.576
O 0.866 0.633 0.360
O 0.872 0.482 0.854
O 0.968 0.186 0.909
O 0.969 0.198 0.193
O 0.974 0.817 0.687
O 0.976 0.839 0.408
CELL_PARAMETERS angstrom
7.888 -4.555 0.000
7.888 4.555 0.000
-0.047 0.000 22.660


Record 5
! Na5HfTa3Si6O24 (PBE-GGA, optimized geometry); values from VASP
! Total DFT energy (no corrections) in eV per atom: -7.96
! Energy of formation in eV/atom: -3.16
&SYSTEM
  ibrav = 0, nat = 117, ntyp = 5
/
ATOMIC_SPECIES
Na 22.99 Na.upf
Hf 178.49 Hf.upf
Ta 180.95 Ta.upf
Si 28.09 Si.upf
O 16.00 O.upf
ATOMIC_POSITIONS crystal
Na 0.000 0.000 0.000
Na 0.001 0.632 0.251
Na 0.024 0.311 0.167
Na 0.294 0.305 0.670
Na 0.327 0.973 0.082
Na 0.334 0.965 0.585
Na 0.357 0.644 0.501
Na 0.627 0.642 0.000
Na 0.652 0.305 0.417
Na 0.653 0.312 0.917
Na 0.662 0.936 0.167
Na 0.689 0.973 0.836
Na 0.963 0.973 0.336
Na 0.993 0.639 0.753
Na 0.995 0.269 0.501
Hf 0.327 0.976 0.937
Hf 0.333 0.973 0.439
Hf 0.998 0.639 0.106
Ta 0.326 0.968 0.731
Ta 0.327 0.969 0.232
Ta 0.656 0.310 0.273
Ta 0.657 0.306 0.064
Ta 0.660 0.302 0.565
Ta 0.662 0.309 0.772
Ta 0.988 0.644 0.607
Ta 0.993 0.636 0.397
Ta 0.999 0.633 0.897
Si 0.036 0.972 0.836
Si 0.038 0.263 0.335
Si 0.281 0.351 0.503
Si 0.285 0.637 0.001
Si 0.325 0.265 0.833
Si 0.330 0.679 0.337
Si 0.370 0.307 0.169
Si 0.373 0.596 0.668
Si 0.616 0.680 0.836
Si 0.618 0.971 0.335
Si 0.656 0.596 0.168
Si 0.662 0.014 0.670
Si 0.703 0.929 0.002
Si 0.704 0.640 0.503
Si 0.950 0.016 0.169
Si 0.950 0.304 0.668
Si 0.990 0.928 0.501
Si 0.996 0.347 0.003
O 0.009 0.805 0.841
O 0.018 0.453 0.342
O 0.020 0.433 0.062
O 0.021 0.801 0.558
O 0.115 0.004 0.894
O 0.117 0.143 0.393
O 0.135 0.008 0.176
O 0.142 0.138 0.675
O 0.152 0.670 0.341
O 0.154 0.155 0.996
O 0.154 0.453 0.841
O 0.158 0.169 0.277
O 0.159 0.947 0.497
O 0.161 0.946 0.779
O 0.163 0.442 0.561
O 0.163 0.674 0.058
O 0.180 0.467 0.165
O 0.186 0.606 0.661
O 0.189 0.479 0.446
O 0.189 0.609 0.944
O 0.291 0.168 0.497
O 0.295 0.809 0.280
O 0.298 0.173 0.775
O 0.309 0.803 0.995
O 0.353 0.784 0.676
O 0.357 0.130 0.176
O 0.358 0.763 0.395
O 0.368 0.139 0.889
O 0.465 0.467 0.723
O 0.468 0.341 0.509
O 0.469 0.328 0.226
O 0.477 0.467 0.008
O 0.486 0.004 0.675
O 0.488 0.787 0.176
O 0.491 0.504 0.609
O 0.496 0.490 0.327
O 0.498 0.005 0.391
O 0.498 0.271 0.112
O 0.498 0.280 0.825
O 0.506 0.760 0.895
O 0.513 0.801 0.498
O 0.518 0.943 0.996
O 0.521 0.810 0.779
O 0.526 0.944 0.276
O 0.629 0.143 0.613
O 0.630 0.504 0.110
O 0.639 0.491 0.825
O 0.649 0.135 0.327
O 0.688 0.105 0.727
O 0.688 0.469 0.224
O 0.691 0.464 0.509
O 0.695 0.115 0.009
O 0.788 0.813 0.061
O 0.803 0.661 0.559
O 0.803 0.670 0.841
O 0.811 0.804 0.341
O 0.818 0.334 0.008
O 0.822 0.120 0.509
O 0.826 0.615 0.165
O 0.827 0.332 0.724
O 0.827 0.840 0.944
O 0.829 0.110 0.227
O 0.831 0.605 0.446
O 0.831 0.826 0.661
O 0.842 0.137 0.826
O 0.850 0.277 0.326
O 0.858 0.278 0.609
O 0.860 0.140 0.111
O 0.959 0.834 0.165
O 0.960 0.477 0.946
O 0.963 0.839 0.443
O 0.976 0.471 0.661
CELL_PARAMETERS angstrom
9.018 0.000 0.000
4.499 7.834 0.000
0.021 0.087 22.713


The lowest total DFT energy (no corrections) belongs to which entry? Na5HfTa3Si6O24